# U8MnSe17

A relaxed U8MnSe17 crystal (PBE, Materials Project).

Geometry as POSCAR:
```
U8MnSe17
1.0
4.381 6.952 0.000
-4.381 6.952 0.000
0.000 2.219 10.657
U Se Mn
8 17 1
direct
0.182 0.696 0.701 U
0.679 0.679 0.987 U
0.798 0.798 0.458 U
0.321 0.321 0.013 U
0.304 0.818 0.299 U
0.696 0.182 0.701 U
0.202 0.202 0.542 U
0.818 0.304 0.299 U
0.819 0.435 0.536 Se
0.000 0.000 0.500 Se
0.675 0.055 0.971 Se
0.300 0.300 0.755 Se
0.325 0.945 0.029 Se
0.055 0.675 0.971 Se
0.181 0.565 0.464 Se
0.943 0.943 0.228 Se
0.521 0.521 0.830 Se
0.214 0.214 0.277 Se
0.945 0.325 0.029 Se
0.700 0.700 0.245 Se
0.057 0.057 0.772 Se
0.786 0.786 0.723 Se
0.435 0.819 0.536 Se
0.565 0.181 0.464 Se
0.479 0.479 0.170 Se
0.000 0.000 0.000 Mn
```

Output
Energy relative to the elements = -1.37 eV per atom
Calculated density = 8.446 g cm⁻³
E = -7.173 eV per atom
Space-group type = C2/m



# U2PbSe5

A relaxed U2PbSe5 crystal (PBE, Materials Project).

Geometry as POSCAR:
```
U2PbSe5
1.0
7.851 0.000 0.000
0.000 8.624 0.000
0.000 0.026 12.296
U Se Pb
8 20 4
direct
0.020 0.501 0.818 U
0.480 0.501 0.318 U
0.079 0.745 0.509 U
0.980 0.499 0.182 U
0.921 0.255 0.491 U
0.579 0.255 0.991 U
0.421 0.745 0.009 U
0.520 0.499 0.682 U
0.304 0.732 0.782 Se
0.664 0.958 0.914 Se
0.836 0.958 0.414 Se
0.696 0.268 0.218 Se
0.833 0.723 0.683 Se
0.664 0.550 0.903 Se
0.164 0.042 0.586 Se
0.457 0.720 0.502 Se
0.043 0.720 0.002 Se
0.333 0.277 0.817 Se
0.336 0.450 0.097 Se
0.336 0.042 0.086 Se
0.167 0.277 0.317 Se
0.196 0.732 0.282 Se
0.164 0.450 0.597 Se
0.836 0.550 0.403 Se
0.804 0.268 0.718 Se
0.957 0.280 0.998 Se
0.543 0.280 0.498 Se
0.667 0.723 0.183 Se
0.982 0.010 0.180 Pb
0.482 0.990 0.320 Pb
0.018 0.990 0.820 Pb
0.518 0.010 0.680 Pb
```

Output
Energy relative to the elements = -1.27 eV per atom
Energy above the most stable polymorph in this dataset = 0.000 eV/atom
Calculated density = 8.601 g cm⁻³
E = -6.451 eV per atom
Space-group type = P2_1/c



# EuGa2Ge4

A relaxed EuGa2Ge4 crystal (PBE, Materials Project).

Geometry as POSCAR:
```
EuGa2Ge4
1.0
-1.319 0.514 5.896
0.978 -4.319 -4.142
13.127 0.170 2.922
Ge Ga Eu
8 4 2
direct
0.932 0.068 0.845 Ge
0.259 0.741 0.445 Ge
0.259 0.741 0.055 Ge
0.068 0.932 0.345 Ge
0.741 0.259 0.945 Ge
0.741 0.259 0.555 Ge
0.932 0.068 0.655 Ge
0.068 0.932 0.155 Ge
0.523 0.477 0.591 Ga
0.523 0.477 0.909 Ga
0.477 0.523 0.091 Ga
0.477 0.523 0.409 Ga
0.208 0.792 0.750 Eu
0.792 0.208 0.250 Eu
```

Output
Energy relative to the elements = -0.21 eV per atom
Energy above the most stable polymorph in this dataset = 0.020 eV/atom
Calculated density = 6.011 g cm⁻³
E = -5.180 eV per atom
Space-group type = Cmcm



# MnCoSn

A relaxed MnCoSn crystal (PBE, Materials Project).

Geometry as POSCAR:
```
MnCoSn
1.0
-3.268 1.270 -2.594
-0.633 -3.197 2.898
-1.445 3.479 3.522
Sn Co Mn
2 2 2
direct
0.333 0.667 0.250 Sn
0.667 0.333 0.750 Sn
0.000 0.000 0.500 Co
0.000 0.000 0.000 Co
0.333 0.667 0.750 Mn
0.667 0.333 0.250 Mn
```

Output
Energy relative to the elements = 0.29 eV per atom
Calculated density = 9.092 g cm⁻³
Total moment = 8.48 μB per cell
E = -6.474 eV per atom
Space-group type = P6_3/mmc



# KTe2O9

A relaxed KTe2O9 crystal (PBE, Materials Project).

Geometry as POSCAR:
```
KTe2O9
1.0
8.802 0.000 0.000
0.000 5.431 0.000
0.000 2.490 16.445
Te K O
8 4 36
direct
0.917 0.864 0.573 Te
0.299 0.041 0.609 Te
0.417 0.136 0.927 Te
0.201 0.041 0.109 Te
0.701 0.959 0.391 Te
0.083 0.136 0.427 Te
0.583 0.864 0.073 Te
0.799 0.959 0.891 Te
0.400 0.514 0.285 K
0.600 0.486 0.715 K
0.100 0.514 0.785 K
0.900 0.486 0.215 K
0.394 0.884 0.711 O
0.900 0.097 0.358 O
0.100 0.903 0.642 O
0.238 0.344 0.153 O
0.737 0.823 0.503 O
0.715 0.928 0.158 O
0.263 0.177 0.497 O
0.446 0.791 0.984 O
0.989 0.153 0.108 O
0.106 0.884 0.211 O
0.738 0.656 0.347 O
0.215 0.072 0.342 O
0.554 0.209 0.016 O
0.946 0.209 0.516 O
0.600 0.097 0.858 O
0.889 0.541 0.632 O
0.611 0.541 0.132 O
0.785 0.928 0.658 O
0.489 0.847 0.392 O
0.011 0.847 0.892 O
0.237 0.177 0.997 O
0.400 0.903 0.142 O
0.389 0.459 0.868 O
0.054 0.791 0.484 O
0.511 0.153 0.608 O
0.385 0.726 0.587 O
0.894 0.116 0.789 O
0.762 0.656 0.847 O
0.885 0.274 0.913 O
0.111 0.459 0.368 O
0.763 0.823 0.003 O
0.615 0.274 0.413 O
0.262 0.344 0.653 O
0.606 0.116 0.289 O
0.115 0.726 0.087 O
0.285 0.072 0.842 O
```

Output
Energy relative to the elements = -0.88 eV per atom
Calculated density = 3.703 g cm⁻³
Total moment = 20.00 μB per cell
E = -4.696 eV per atom
Space-group type = P2_1/c



# K2YAgCl6

A relaxed K2YAgCl6 crystal (PBE, Materials Project).

Geometry as POSCAR:
```
K2YAgCl6
1.0
-0.903 -5.672 4.951
-6.952 -2.581 1.582
-2.145 -6.853 -2.436
Ag K Cl Y
1 2 6 1
direct
0.000 0.000 0.000 Ag
0.750 0.750 0.750 K
0.250 0.250 0.250 K
0.255 0.745 0.255 Cl
0.255 0.255 0.745 Cl
0.745 0.255 0.745 Cl
0.745 0.255 0.255 Cl
0.255 0.745 0.745 Cl
0.745 0.745 0.255 Cl
0.500 0.500 0.500 Y
```

Output
Energy relative to the elements = -2.14 eV per atom
Calculated density = 2.627 g cm⁻³
Total moment = 0.00 μB per cell
E = -4.033 eV per atom
Space-group type = Fm-3m



# K2OsO6

A relaxed K2OsO6 crystal (PBE, Materials Project).

Geometry as POSCAR:
```
K2OsO6
1.0
1.432 -5.946 1.689
-5.928 -2.244 -0.289
2.831 3.079 -4.772
O K Os
6 2 1
direct
0.262 0.165 0.427 O
0.804 0.804 0.000 O
0.196 0.196 0.000 O
0.835 0.262 0.096 O
0.738 0.835 0.573 O
0.165 0.738 0.904 O
0.750 0.250 0.500 K
0.250 0.750 0.500 K
0.000 0.000 0.000 Os
```

Output
Energy relative to the elements = -1.34 eV per atom
Calculated density = 3.568 g cm⁻³
Total moment = 2.00 μB per cell
E = -5.678 eV per atom
Space-group type = I4/m



# NaPrZrSnO6

A relaxed NaPrZrSnO6 crystal (PBE, Materials Project).

Geometry as POSCAR:
```
NaPrZrSnO6
1.0
-0.012 4.339 -3.870
-3.350 -0.342 -4.740
-4.670 3.425 -0.513
Sn O Zr Pr Na
1 6 1 1 1
direct
0.000 0.000 0.000 Sn
0.752 0.752 0.248 O
0.248 0.248 0.752 O
0.752 0.248 0.752 O
0.248 0.752 0.248 O
0.752 0.248 0.248 O
0.248 0.752 0.752 O
0.500 0.500 0.500 Zr
0.750 0.750 0.750 Pr
0.250 0.250 0.250 Na
```

Output
Energy relative to the elements = -2.88 eV per atom
Calculated density = 5.614 g cm⁻³
Total moment = 0.00 μB per cell
E = -7.299 eV per atom
Space-group type = F-43m